(1)
Entry from the Materials Project: crystalline KMn5Se6O18 at its relaxed geometry (PBE+U).

POSCAR file:
```
KMn5Se6O18
1.0
9.038 -5.218 0.000
9.038 5.218 0.000
-0.240 0.000 9.761
K Mn Se O
2 10 12 36
direct
0.000 0.000 0.250
0.000 0.000 0.750
0.001 0.624 0.251
0.331 0.332 0.833
0.332 0.331 0.333
0.376 0.999 0.249
0.387 0.613 0.750
0.613 0.387 0.250
0.624 0.001 0.751
0.668 0.669 0.667
0.669 0.668 0.167
0.999 0.376 0.749
0.081 0.305 0.083
0.089 0.613 0.589
0.305 0.081 0.583
0.312 0.614 0.084
0.386 0.688 0.416
0.387 0.911 0.911
0.613 0.089 0.089
0.614 0.312 0.584
0.688 0.386 0.916
0.695 0.919 0.417
0.911 0.387 0.411
0.919 0.695 0.917
0.124 0.172 0.636
0.135 0.696 0.142
0.147 0.459 0.689
0.151 0.393 0.189
0.158 0.304 0.925
0.162 0.536 0.430
0.172 0.124 0.136
0.192 0.694 0.651
0.304 0.158 0.425
0.304 0.865 0.358
0.306 0.808 0.849
0.312 0.532 0.928
0.393 0.151 0.689
0.405 0.453 0.189
0.453 0.405 0.689
0.459 0.147 0.189
0.464 0.838 0.070
0.468 0.688 0.572
0.532 0.312 0.428
0.536 0.162 0.930
0.541 0.853 0.811
0.547 0.595 0.311
0.595 0.547 0.811
0.607 0.849 0.311
0.688 0.468 0.072
0.694 0.192 0.151
0.696 0.135 0.642
0.696 0.842 0.575
0.808 0.306 0.349
0.828 0.876 0.864
0.838 0.464 0.570
0.842 0.696 0.075
0.849 0.607 0.811
0.853 0.541 0.311
0.865 0.304 0.858
0.876 0.828 0.364
```

***

(2)
PBE+U Li2MnVP3O12, relaxed; ΔE to the lowest computed polymorph = 12 meV/atom
1.0
8.311 0.000 0.000
4.067 7.461 0.000
0.092 4.532 7.469
Li Mn V P O
4 2 2 6 24
direct
0.000 0.000 0.000
0.148 0.942 0.337
0.334 0.293 0.272
0.754 0.815 0.571
0.069 0.584 0.370
0.759 0.196 0.477
0.272 0.177 0.981
0.553 0.608 0.852
0.167 0.665 0.673
0.380 0.677 0.175
0.458 0.095 0.665
0.661 0.114 0.164
0.876 0.393 0.673
0.945 0.390 0.171
0.024 0.255 0.858
0.150 0.261 0.152
0.190 0.650 0.499
0.226 0.451 0.839
0.230 0.611 0.195
0.269 0.903 0.146
0.283 0.254 0.504
0.309 0.729 0.690
0.398 0.084 0.839
0.417 0.706 0.990
0.513 0.058 0.144
0.546 0.875 0.691
0.560 0.525 0.323
0.598 0.330 0.003
0.611 0.151 0.650
0.636 0.126 0.340
0.678 0.519 0.696
0.796 0.517 0.993
0.864 0.950 0.187
0.893 0.234 0.627
0.906 0.567 0.534
0.928 0.208 0.319
0.940 0.540 0.224
0.963 0.834 0.642

***

(3)
Entry from the Materials Project: crystalline LiFe2P5O15 at its relaxed geometry (PBE+U).

POSCAR file:
```
LiFe2P5O15
1.0
3.861 -6.184 0.000
3.861 6.184 0.000
-1.847 0.000 13.080
Li Fe P O
2 4 10 30
direct
0.084 0.916 0.500
0.916 0.084 0.000
0.180 0.238 0.684
0.238 0.180 0.184
0.273 0.753 0.044
0.753 0.273 0.544
0.034 0.768 0.260
0.194 0.413 0.477
0.316 0.939 0.778
0.413 0.194 0.977
0.564 0.657 0.230
0.589 0.808 0.450
0.657 0.564 0.730
0.768 0.034 0.760
0.808 0.589 0.950
0.939 0.316 0.278
0.022 0.545 0.243
0.043 0.482 0.518
0.125 0.877 0.363
0.136 0.340 0.357
0.153 0.875 0.173
0.192 0.958 0.685
0.215 0.242 0.528
0.242 0.215 0.028
0.256 0.753 0.831
0.340 0.136 0.857
0.415 0.600 0.484
0.432 0.476 0.743
0.476 0.432 0.243
0.482 0.043 0.018
0.482 0.715 0.137
0.530 0.779 0.327
0.545 0.022 0.743
0.549 0.984 0.492
0.600 0.415 0.984
0.715 0.482 0.637
0.741 0.806 0.732
0.753 0.256 0.331
0.779 0.530 0.827
0.792 0.814 0.476
0.806 0.741 0.232
0.814 0.792 0.976
0.875 0.153 0.673
0.877 0.125 0.863
0.958 0.192 0.185
0.984 0.549 0.992
```

***

(4)
PBE+U Nb2CoO6, relaxed; ΔE to the lowest computed polymorph = 22 meV/atom
1.0
-3.754 1.852 2.408
2.376 -5.893 8.233
6.038 3.700 6.569
Nb O Co
8 24 4
direct
0.500 0.164 0.668
0.000 0.664 0.668
0.000 0.003 0.999
0.000 0.664 0.168
0.500 0.503 0.499
0.500 0.164 0.168
0.000 0.003 0.499
0.500 0.503 0.999
0.690 0.333 0.488
0.796 0.158 0.319
0.796 0.508 0.644
0.204 0.508 0.348
0.703 0.658 0.319
0.296 0.658 0.523
0.190 0.833 0.178
0.296 0.008 0.848
0.204 0.158 0.523
0.704 0.658 0.819
0.203 0.508 0.848
0.297 0.008 0.348
0.810 0.833 0.988
0.310 0.333 0.178
0.810 0.833 0.488
0.296 0.658 0.023
0.204 0.158 0.023
0.310 0.333 0.679
0.704 0.008 0.144
0.797 0.158 0.819
0.190 0.833 0.678
0.690 0.333 0.988
0.704 0.008 0.644
0.796 0.509 0.144
0.000 0.333 0.333
0.500 0.833 0.833
0.500 0.833 0.333
0.000 0.333 0.833

***

(5)
Entry from the Materials Project: crystalline Cd2Mo3O8 at its relaxed geometry (PBE+U).

POSCAR file:
```
Cd2Mo3O8
1.0
6.408 0.000 0.000
-3.204 5.549 0.000
0.000 0.000 10.345
Cd Mo O
4 6 16
direct
0.333 0.667 0.000
0.333 0.667 0.392
0.667 0.333 0.500
0.667 0.333 0.892
0.163 0.327 0.680
0.163 0.837 0.680
0.327 0.163 0.180
0.673 0.837 0.680
0.837 0.163 0.180
0.837 0.673 0.180
0.000 0.000 0.077
0.000 0.000 0.577
0.046 0.523 0.569
0.159 0.319 0.271
0.159 0.841 0.271
0.319 0.159 0.771
0.333 0.667 0.786
0.477 0.523 0.569
0.477 0.954 0.569
0.523 0.046 0.069
0.523 0.477 0.069
0.667 0.333 0.286
0.681 0.841 0.271
0.841 0.159 0.771
0.841 0.681 0.771
0.954 0.477 0.069
```

***

(6)
PBE+U Li9Mn2Co5O16, relaxed; ΔE to the lowest computed polymorph = 115 meV/atom
1.0
2.988 0.000 0.000
-0.246 5.013 0.000
-0.658 -1.422 19.223
Li Mn Co O
9 2 5 16
direct
0.000 0.000 0.000
0.046 0.688 0.119
0.190 0.058 0.374
0.313 0.439 0.629
0.435 0.826 0.880
0.561 0.171 0.117
0.683 0.568 0.377
0.814 0.938 0.628
0.953 0.314 0.880
0.122 0.374 0.249
0.751 0.251 0.501
0.251 0.750 0.501
0.377 0.127 0.752
0.501 0.501 0.000
0.621 0.875 0.249
0.877 0.627 0.753
0.009 0.360 0.055
0.065 0.035 0.192
0.183 0.715 0.307
0.190 0.420 0.442
0.308 0.082 0.559
0.354 0.792 0.696
0.395 0.462 0.807
0.468 0.199 0.945
0.533 0.804 0.056
0.574 0.540 0.193
0.676 0.207 0.308
0.690 0.911 0.443
0.810 0.285 0.694
0.810 0.590 0.559
0.943 0.968 0.810
0.992 0.641 0.946

***

(7)
PBE+U Ca3As2W10O8, relaxed; ΔE to the lowest computed polymorph = 189 meV/atom
1.0
5.826 0.000 0.000
-0.887 11.028 0.000
-0.917 -4.068 12.767
Ca As W O
6 4 20 16
direct
0.047 0.242 0.389
0.396 0.229 0.695
0.411 0.572 0.662
0.589 0.428 0.338
0.604 0.771 0.305
0.953 0.758 0.611
0.048 0.020 0.798
0.190 0.571 0.439
0.810 0.429 0.561
0.952 0.980 0.202
0.063 0.604 0.871
0.085 0.675 0.278
0.108 0.377 0.924
0.126 0.145 0.092
0.134 0.926 0.412
0.210 0.841 0.055
0.347 0.840 0.834
0.349 0.574 0.083
0.419 0.930 0.585
0.469 0.319 0.069
0.531 0.681 0.931
0.581 0.070 0.415
0.651 0.426 0.917
0.653 0.160 0.166
0.790 0.159 0.945
0.866 0.074 0.588
0.874 0.855 0.908
0.892 0.623 0.076
0.915 0.325 0.722
0.937 0.396 0.129
0.028 0.494 0.681
0.171 0.053 0.324
0.287 0.425 0.445
0.291 0.044 0.722
0.348 0.784 0.663
0.351 0.024 0.131
0.394 0.272 0.898
0.406 0.614 0.361
0.594 0.386 0.639
0.606 0.728 0.102
0.649 0.976 0.869
0.652 0.216 0.337
0.709 0.956 0.278
0.713 0.575 0.555
0.829 0.947 0.676
0.972 0.506 0.319

***

(8)
Entry from the Materials Project: crystalline MgFeO2 at its relaxed geometry (PBE+U).

POSCAR file:
```
MgFeO2
1.0
2.976 0.000 0.000
-1.487 8.297 0.000
-1.458 -0.425 8.383
Mg Fe O
4 4 8
direct
0.003 0.427 0.217
0.014 0.217 0.879
0.986 0.783 0.121
0.997 0.573 0.783
0.481 0.888 0.798
0.485 0.306 0.554
0.515 0.694 0.446
0.519 0.112 0.202
0.150 0.734 0.599
0.199 0.394 0.724
0.245 0.292 0.103
0.266 0.066 0.833
0.734 0.934 0.167
0.755 0.708 0.897
0.801 0.606 0.276
0.850 0.266 0.401
```

***

Table of energy of formation from the pure elements (eV/atom), in record order: -1.6567 -2.5878 -2.4398 -2.6492 -1.7971 -1.7495 0.1465 -1.3969